# 1
SrIn2Cu2: optimized geometry, PBE.

Results
Its symmetry is I4/mmm, No. 139. The calculation puts the formation enthalpy at 0 K at -0.18 eV/atom. The value obtained for the total magnetic moment is 0.0 μB/f.u. The total energy is -3.26 eV per atom.

Geometry as POSCAR:
```
SrIn2Cu2
1.0
-2.211 2.211 5.776
2.211 -2.211 5.776
2.211 2.211 -5.776
Sr In Cu
1 2 2
direct
0.000 0.000 0.000
0.250 0.750 0.500
0.750 0.250 0.500
0.392 0.392 0.000
0.608 0.608 0.000
```

---

# 2
MgSb4O10: optimized geometry, PBE.

Results
Its symmetry is Amm2, No. 38. The calculation puts the formation enthalpy at 0 K at -1.89 eV/atom. The value obtained for the total magnetic moment is 0.0 μB/f.u. The total energy is -5.94 eV per atom.

Geometry as POSCAR:
```
MgSb4O10
1.0
10.700 0.000 0.000
0.000 2.009 5.185
0.000 -2.009 5.185
Mg Sb O
1 4 10
direct
0.000 0.000 0.000
0.178 0.676 0.676
0.319 0.942 0.942
0.681 0.942 0.942
0.822 0.676 0.676
0.000 0.589 0.589
0.131 0.860 0.860
0.162 0.132 0.132
0.266 0.499 0.499
0.347 0.752 0.752
0.500 0.990 0.990
0.653 0.752 0.752
0.734 0.499 0.499
0.838 0.132 0.132
0.869 0.860 0.860
```

---

Q: Look up the formation enthalpy at 0 K of the first one.
A: -0.18 eV/atom